Record 1
The following is a GGA-PBE calculation of crystalline NaGa2Au4 at its relaxed geometry, from the Materials Project database.

abc: 7.529 8.475 9.378
angles: 64.25 90.00 90.00
Positions (direct):
Au  0.154  0.629  0.266
Au  0.103  0.175  0.657
Au  0.105  0.366  0.955
Au  0.395  0.366  0.455
Au  0.397  0.175  0.157
Au  0.784  0.144  0.078
Au  0.897  0.825  0.343
Au  0.846  0.371  0.734
Au  0.603  0.825  0.843
Au  0.284  0.856  0.422
Au  0.654  0.371  0.234
Au  0.346  0.629  0.766
Au  0.895  0.634  0.045
Au  0.716  0.144  0.578
Au  0.216  0.856  0.922
Au  0.605  0.634  0.545
Na  0.955  0.789  0.675
Na  0.545  0.789  0.175
Na  0.045  0.211  0.325
Na  0.455  0.211  0.825
Ga  0.369  0.003  0.612
Ga  0.131  0.003  0.112
Ga  0.325  0.516  0.085
Ga  0.175  0.516  0.585
Ga  0.631  0.997  0.388
Ga  0.869  0.997  0.888
Ga  0.675  0.484  0.915
Ga  0.825  0.484  0.415

Summary:
space-group type	P2_1/c
total magnetic moment	0.0	μB per formula unit
calculated volume	19.25	A^3/atom


Record 2
The following is a GGA-PBE calculation of crystalline Nd2Ga5Au3 at its relaxed geometry, from the Materials Project database.

abc: 4.394 4.394 10.968
angles: 90.00 90.00 90.00
Positions (direct):
Ga  0.000  0.000  0.000
Ga  0.000  0.500  0.129
Ga  0.500  0.500  0.500
Ga  0.500  0.500  0.000
Ga  0.500  0.000  0.871
Nd  0.000  0.500  0.745
Nd  0.500  0.000  0.255
Au  0.000  0.500  0.354
Au  0.500  0.000  0.646
Au  0.000  0.000  0.500

Summary:
space-group type	P-4m2
total magnetic moment	0.0	μB per formula unit
calculated volume	21.17	A^3/atom


Record 3
The following is a GGA-PBE calculation of crystalline NdGa3Au at its relaxed geometry, from the Materials Project database.

abc: 4.319 4.319 6.356
angles: 70.14 70.14 90.00
Positions (direct):
Nd  0.993  0.993  0.013
Ga  0.390  0.390  0.219
Ga  0.750  0.250  0.500
Ga  0.250  0.750  0.500
Au  0.617  0.617  0.767

Summary:
space-group type	I4mm
calculated volume	20.80	A^3/atom


Record 4
The following is a GGA-PBE calculation of crystalline GaAuO2 at its relaxed geometry, from the Materials Project database.

abc: 3.050 3.050 12.486
angles: 90.00 90.00 120.00
Positions (direct):
Ga  0.000  0.000  0.500
Ga  0.000  0.000  0.000
Au  0.667  0.333  0.750
Au  0.333  0.667  0.250
O  0.667  0.333  0.920
O  0.333  0.667  0.080
O  0.667  0.333  0.580
O  0.333  0.667  0.420

Summary:
space-group type	P6_3/mmc
corrected total energy (MP2020 scheme)	-22.223	eV/f.u.
calculated volume	12.57	A^3/atom


Record 5
The following is a GGA-PBE calculation of crystalline PmGaAu2 at its relaxed geometry, from the Materials Project database.

abc: 4.950 4.950 4.950
angles: 60.00 60.00 60.00
Positions (direct):
Ga  0.500  0.500  0.500
Au  0.250  0.250  0.250
Au  0.750  0.750  0.750
Pm  0.000  0.000  0.000

Summary:
space-group type	Fm-3m
calculated volume	21.45	A^3/atom


Record 6
The following is a GGA-PBE calculation of crystalline Pr2Ga5Au3 at its relaxed geometry, from the Materials Project database.

abc: 4.398 4.398 10.811
angles: 90.00 90.00 90.00
Positions (direct):
Au  0.500  0.000  0.131
Au  0.000  0.500  0.869
Au  0.500  0.500  0.500
Pr  0.500  0.000  0.748
Pr  0.000  0.500  0.252
Ga  0.500  0.000  0.364
Ga  0.500  0.500  0.000
Ga  0.000  0.000  0.000
Ga  0.000  0.500  0.636
Ga  0.000  0.000  0.500

Summary:
space-group type	P-4m2
calculated volume	20.91	A^3/atom


Record 7
The following is a GGA-PBE calculation of crystalline SmGa3Au at its relaxed geometry, from the Materials Project database.

abc: 4.239 4.239 6.365
angles: 70.55 70.55 90.00
Positions (direct):
Sm  0.991  0.991  0.018
Ga  0.751  0.251  0.499
Ga  0.251  0.751  0.499
Ga  0.393  0.393  0.214
Au  0.615  0.615  0.771

Summary:
space-group type	I4mm
calculated volume	20.18	A^3/atom


Record 8
The following is a GGA-PBE calculation of crystalline SmGaAu2 at its relaxed geometry, from the Materials Project database.

abc: 4.928 4.928 4.928
angles: 60.00 60.00 60.00
Positions (direct):
Ga  0.500  0.500  0.500
Au  0.750  0.750  0.750
Au  0.250  0.250  0.250
Sm  0.000  0.000  0.000

Summary:
space-group type	Fm-3m
calculated volume	21.15	A^3/atom


E across the listed records, respectively: -3.209; -3.967; -4.024; -5.212; -4.211; -4.098; -3.995; -4.208 eV/atom.